The following is a PBE+U calculation of crystalline Cs2TlFeF6 at its relaxed geometry, from the Materials Project database.

Properties
- SG = Fm-3m, No. 225
- total magnetic moment (μB/f.u.) = 5.00
- formation energy (eV per atom) = -2.727

Lattice parameters (Å, degrees): 6.636 6.636 6.636 60.00 60.00 60.00
Atoms (fractional coordinates):
1 F 0.210 0.210 0.790
2 Tl 0.500 0.500 0.500
3 F 0.210 0.790 0.790
4 F 0.790 0.210 0.210
5 F 0.790 0.790 0.210
6 F 0.790 0.210 0.790
7 Fe 0.000 0.000 0.000
8 Cs 0.750 0.750 0.750
9 F 0.210 0.790 0.210
10 Cs 0.250 0.250 0.250